Entry 1:
Below is a relaxed Mn2O7 crystal, with properties calculated at the PBE+U level.

Summary:
calculated total energy	-5.86	eV/atom
formation energy from the elements	-880	meV per atom

Lattice parameters (Å, degrees): 17.846 7.151 9.944 79.22 90.00 90.00
Sites, in units of the cell vectors:
Mn (0.002, 0.216, 0.671)
Mn (0.502, 0.784, 0.829)
Mn (0.998, 0.784, 0.329)
Mn (0.498, 0.216, 0.171)
Mn (0.003, 0.793, 0.826)
Mn (0.503, 0.207, 0.674)
Mn (0.997, 0.207, 0.174)
Mn (0.497, 0.793, 0.326)
Mn (0.753, 0.928, 0.109)
Mn (0.253, 0.072, 0.391)
Mn (0.247, 0.072, 0.891)
Mn (0.747, 0.928, 0.609)
Mn (0.754, 0.350, 0.954)
Mn (0.254, 0.650, 0.546)
Mn (0.246, 0.650, 0.046)
Mn (0.746, 0.350, 0.454)
O (0.053, 0.172, 0.550)
O (0.553, 0.828, 0.950)
O (0.947, 0.828, 0.450)
O (0.447, 0.172, 0.050)
O (0.940, 0.368, 0.615)
O (0.440, 0.632, 0.885)
O (0.060, 0.632, 0.385)
O (0.560, 0.368, 0.115)
O (0.053, 0.288, 0.783)
O (0.553, 0.712, 0.717)
O (0.947, 0.712, 0.217)
O (0.447, 0.288, 0.283)
O (0.057, 0.728, 0.716)
O (0.557, 0.272, 0.784)
O (0.943, 0.272, 0.284)
O (0.443, 0.728, 0.216)
O (0.792, 0.138, 0.530)
O (0.292, 0.862, 0.970)
O (0.208, 0.862, 0.470)
O (0.708, 0.138, 0.030)
O (0.696, 0.421, 0.566)
O (0.196, 0.579, 0.934)
O (0.304, 0.579, 0.434)
O (0.804, 0.421, 0.066)
O (0.808, 0.503, 0.397)
O (0.308, 0.497, 0.103)
O (0.192, 0.497, 0.603)
O (0.692, 0.503, 0.897)
O (0.695, 0.307, 0.333)
O (0.195, 0.693, 0.167)
O (0.305, 0.693, 0.667)
O (0.805, 0.307, 0.833)
O (0.692, 0.862, 0.502)
O (0.192, 0.138, 0.998)
O (0.308, 0.138, 0.498)
O (0.808, 0.862, 0.002)
O (0.809, 0.772, 0.657)
O (0.309, 0.228, 0.843)
O (0.191, 0.228, 0.343)
O (0.691, 0.772, 0.157)
O (0.700, 0.971, 0.736)
O (0.200, 0.029, 0.764)
O (0.300, 0.029, 0.264)
O (0.800, 0.971, 0.236)
O (0.543, 0.004, 0.248)
O (0.043, 0.996, 0.252)
O (0.457, 0.996, 0.752)
O (0.957, 0.004, 0.748)
O (0.450, 0.836, 0.452)
O (0.950, 0.164, 0.048)
O (0.550, 0.164, 0.548)
O (0.050, 0.836, 0.952)
O (0.559, 0.637, 0.375)
O (0.059, 0.363, 0.125)
O (0.441, 0.363, 0.625)
O (0.941, 0.637, 0.875)

Entry 2:
Below is a relaxed MnO crystal, with properties calculated at the PBE+U level.

Summary:
calculated total energy	-7.85	eV/atom
formation energy from the elements	-1976	meV per atom

Lattice parameters (Å, degrees): 3.204 4.489 6.335 90.00 90.00 90.00
Sites, in units of the cell vectors:
Mn (0.500, 0.500, 0.744)
Mn (0.000, 0.000, 0.006)
Mn (0.500, 0.500, 0.244)
Mn (0.000, 0.000, 0.506)
O (0.000, 0.500, 0.496)
O (0.500, 0.000, 0.754)
O (0.000, 0.500, 0.996)
O (0.500, 0.000, 0.254)

Entry 3:
Below is a relaxed Mn21O40 crystal, with properties calculated at the PBE+U level.

Summary:
calculated total energy	-7.16	eV/atom
formation energy from the elements	-1787	meV per atom
E above lowest polymorph	9.6	meV/atom

Lattice parameters (Å, degrees): 10.166 10.166 10.166 99.72 99.72 131.48
Sites, in units of the cell vectors:
Mn (0.777, 0.829, 0.355)
Mn (0.174, 0.024, 0.449)
Mn (0.980, 0.929, 0.151)
Mn (0.778, 0.828, 0.849)
Mn (0.500, 0.500, 0.000)
Mn (0.172, 0.020, 0.950)
Mn (0.474, 0.422, 0.645)
Mn (0.879, 0.625, 0.253)
Mn (0.374, 0.121, 0.746)
Mn (0.578, 0.223, 0.051)
Mn (0.776, 0.324, 0.351)
Mn (0.676, 0.026, 0.451)
Mn (0.575, 0.224, 0.549)
Mn (0.275, 0.826, 0.850)
Mn (0.976, 0.425, 0.150)
Mn (0.171, 0.526, 0.949)
Mn (0.375, 0.628, 0.254)
Mn (0.974, 0.425, 0.649)
Mn (0.372, 0.626, 0.747)
Mn (0.071, 0.222, 0.050)
Mn (0.575, 0.725, 0.551)
O (0.535, 0.604, 0.356)
O (0.016, 0.047, 0.345)
O (0.845, 0.976, 0.044)
O (0.199, 0.155, 0.132)
O (0.024, 0.068, 0.868)
O (0.930, 0.786, 0.433)
O (0.353, 0.497, 0.567)
O (0.527, 0.583, 0.830)
O (0.753, 0.697, 0.170)
O (0.420, 0.263, 0.465)
O (0.104, 0.871, 0.257)
O (0.702, 0.670, 0.655)
O (0.932, 0.801, 0.956)
O (0.248, 0.179, 0.644)
O (0.814, 0.447, 0.543)
O (0.417, 0.247, 0.944)
O (0.648, 0.378, 0.244)
O (0.553, 0.097, 0.368)
O (0.596, 0.352, 0.731)
O (0.821, 0.465, 0.069)
O (0.999, 0.553, 0.334)
O (0.330, 0.984, 0.032)
O (0.153, 0.896, 0.767)
O (0.903, 0.271, 0.457)
O (0.335, 0.001, 0.554)
O (0.503, 0.070, 0.856)
O (0.737, 0.202, 0.157)
O (0.214, 0.647, 0.144)
O (0.447, 0.781, 0.446)
O (0.045, 0.580, 0.843)
O (0.729, 0.186, 0.632)
O (0.129, 0.386, 0.233)
O (0.219, 0.665, 0.666)
O (0.396, 0.752, 0.931)
O (0.953, 0.298, 0.968)
O (0.622, 0.865, 0.269)
O (0.798, 0.955, 0.535)
O (0.303, 0.473, 0.056)
O (0.135, 0.404, 0.756)
O (0.614, 0.847, 0.743)

Entry 4:
Below is a relaxed MnO crystal, with properties calculated at the PBE+U level.

Summary:
calculated total energy	-7.78	eV/atom
formation energy from the elements	-1899	meV per atom

Lattice parameters (Å, degrees): 3.432 3.434 3.440 90.00 60.04 59.98
Sites, in units of the cell vectors:
Mn (0.000, 0.500, 0.499)
O (0.500, 0.250, 0.751)

Entry 5:
Below is a relaxed Mn2P4O13 crystal, with properties calculated at the PBE+U level.

Summary:
calculated total energy	-7.30	eV/atom
formation energy from the elements	-2457	meV per atom
E above lowest polymorph	29.6	meV/atom

Lattice parameters (Å, degrees): 8.794 8.794 8.259 90.00 90.00 132.01
Sites, in units of the cell vectors:
Mn (0.585, 0.876, 0.137)
Mn (0.124, 0.415, 0.363)
Mn (0.876, 0.585, 0.863)
Mn (0.415, 0.124, 0.637)
P (0.722, 0.841, 0.779)
P (0.159, 0.278, 0.721)
P (0.058, 0.386, 0.008)
P (0.614, 0.942, 0.492)
P (0.386, 0.058, 0.992)
P (0.942, 0.614, 0.508)
P (0.278, 0.159, 0.279)
P (0.841, 0.722, 0.221)
O (0.254, 0.309, 0.313)
O (0.691, 0.746, 0.187)
O (0.939, 0.061, 0.750)
O (0.209, 0.380, 0.894)
O (0.620, 0.791, 0.606)
O (0.155, 0.402, 0.599)
O (0.598, 0.845, 0.901)
O (0.892, 0.180, 0.081)
O (0.820, 0.108, 0.419)
O (0.461, 0.793, 0.358)
O (0.207, 0.539, 0.142)
O (0.528, 0.001, 0.610)
O (0.999, 0.472, 0.890)
O (0.472, 0.999, 0.110)
O (0.001, 0.528, 0.390)
O (0.539, 0.207, 0.858)
O (0.793, 0.461, 0.642)
O (0.108, 0.820, 0.581)
O (0.180, 0.892, 0.919)
O (0.845, 0.598, 0.099)
O (0.402, 0.155, 0.401)
O (0.380, 0.209, 0.106)
O (0.791, 0.620, 0.394)
O (0.061, 0.939, 0.250)
O (0.309, 0.254, 0.687)
O (0.746, 0.691, 0.813)

Entry 6:
Below is a relaxed MnP2O8 crystal, with properties calculated at the PBE+U level.

Summary:
calculated total energy	-6.40	eV/atom
formation energy from the elements	-1634	meV per atom
E above lowest polymorph	311.4	meV/atom

Lattice parameters (Å, degrees): 6.653 7.983 9.702 53.06 90.00 90.00
Sites, in units of the cell vectors:
Mn (0.749, 0.000, 0.499)
Mn (0.251, 0.000, 0.999)
P (0.971, 0.737, 0.364)
P (0.472, 0.263, 0.131)
P (0.528, 0.263, 0.631)
P (0.029, 0.737, 0.864)
O (0.966, 0.520, 0.524)
O (0.471, 0.476, 0.967)
O (0.529, 0.476, 0.467)
O (0.034, 0.520, 0.024)
O (0.882, 0.922, 0.345)
O (0.382, 0.075, 0.154)
O (0.618, 0.075, 0.654)
O (0.118, 0.922, 0.845)
O (0.073, 0.779, 0.207)
O (0.567, 0.221, 0.289)
O (0.433, 0.221, 0.789)
O (0.927, 0.779, 0.707)
O (0.061, 0.188, 0.931)
O (0.561, 0.811, 0.569)
O (0.439, 0.811, 0.069)
O (0.939, 0.188, 0.431)

Entry 7:
Below is a relaxed Mn3P2O8 crystal, with properties calculated at the PBE+U level.

Summary:
calculated total energy	-7.73	eV/atom
formation energy from the elements	-2546	meV per atom
E above lowest polymorph	1.3	meV/atom

Lattice parameters (Å, degrees): 4.956 10.716 6.259 90.32 90.00 90.00
Sites, in units of the cell vectors:
Mn (0.000, 0.000, 0.501)
Mn (0.989, 0.283, 0.234)
Mn (0.011, 0.717, 0.766)
Mn (0.500, 0.500, 0.500)
Mn (0.511, 0.783, 0.234)
Mn (0.489, 0.217, 0.766)
P (0.069, 0.601, 0.262)
P (0.431, 0.101, 0.262)
P (0.569, 0.899, 0.738)
P (0.931, 0.399, 0.738)
O (0.174, 0.681, 0.073)
O (0.326, 0.181, 0.073)
O (0.674, 0.819, 0.927)
O (0.826, 0.319, 0.927)
O (0.324, 0.965, 0.253)
O (0.176, 0.465, 0.253)
O (0.824, 0.535, 0.747)
O (0.676, 0.035, 0.747)
O (0.758, 0.608, 0.280)
O (0.742, 0.108, 0.280)
O (0.258, 0.892, 0.720)
O (0.242, 0.392, 0.720)
O (0.217, 0.661, 0.464)
O (0.283, 0.161, 0.464)
O (0.717, 0.839, 0.536)
O (0.783, 0.339, 0.536)

Entry 8:
Below is a relaxed MnPO4 crystal, with properties calculated at the PBE+U level.

Summary:
calculated total energy	-7.41	eV/atom
formation energy from the elements	-2418	meV per atom

Lattice parameters (Å, degrees): 8.495 8.495 6.885 70.30 70.30 90.19
Sites, in units of the cell vectors:
Mn (0.381, 0.064, 0.863)
Mn (0.727, 0.273, 0.250)
Mn (0.064, 0.381, 0.363)
Mn (0.936, 0.619, 0.637)
Mn (0.273, 0.727, 0.750)
Mn (0.619, 0.936, 0.137)
P (0.121, 0.347, 0.880)
P (0.293, 0.707, 0.250)
P (0.347, 0.121, 0.380)
P (0.653, 0.879, 0.620)
P (0.707, 0.293, 0.750)
P (0.879, 0.653, 0.120)
O (0.185, 0.179, 0.882)
O (0.171, 0.735, 0.461)
O (0.042, 0.408, 0.695)
O (0.472, 0.730, 0.253)
O (0.736, 0.518, 0.165)
O (0.981, 0.318, 0.110)
O (0.682, 0.019, 0.390)
O (0.482, 0.264, 0.335)
O (0.270, 0.528, 0.247)
O (0.592, 0.958, 0.805)
O (0.265, 0.829, 0.039)
O (0.179, 0.185, 0.382)
O (0.821, 0.815, 0.618)
O (0.735, 0.171, 0.961)
O (0.408, 0.042, 0.195)
O (0.730, 0.472, 0.753)
O (0.518, 0.736, 0.665)
O (0.318, 0.981, 0.610)
O (0.019, 0.682, 0.890)
O (0.264, 0.482, 0.835)
O (0.528, 0.270, 0.747)
O (0.958, 0.592, 0.305)
O (0.829, 0.265, 0.539)
O (0.815, 0.821, 0.118)